Entry 1:
## KV6O11 (PBE with a Hubbard U)

Data for KV6O11 after structural relaxation. Values from VASP.

Energy ... -7.5834 eV per atom
Symmetry ... P6_3mc
Polymorph energy (0 for the lowest one) ... 0.0175 eV/atom

The structure in Quantum ESPRESSO input format:
```
&SYSTEM
  ibrav = 0, nat = 36, ntyp = 3
/
ATOMIC_SPECIES
K 39.10 K.upf
V 50.94 V.upf
O 16.00 O.upf
ATOMIC_POSITIONS crystal
K 0.3333 0.6667 0.0000
K 0.6667 0.3333 0.5000
V 0.0000 0.0000 0.1066
V 0.0000 0.0000 0.3975
V 0.0000 0.0000 0.6066
V 0.0000 0.0000 0.8975
V 0.0008 0.5004 0.2523
V 0.3333 0.6667 0.5053
V 0.5004 0.0008 0.7523
V 0.4996 0.5004 0.2523
V 0.5004 0.4996 0.7523
V 0.4996 0.9992 0.2523
V 0.6667 0.3333 0.0053
V 0.9992 0.4996 0.7523
O 0.1519 0.3038 0.5023
O 0.1519 0.8481 0.5023
O 0.1721 0.3443 0.8283
O 0.1721 0.8279 0.8283
O 0.1729 0.3457 0.1748
O 0.1729 0.8271 0.1748
O 0.3038 0.1519 0.0023
O 0.3333 0.6667 0.3396
O 0.3333 0.6667 0.6640
O 0.3443 0.1721 0.3283
O 0.3457 0.1729 0.6748
O 0.6543 0.8271 0.1748
O 0.6557 0.8279 0.8283
O 0.6667 0.3333 0.1640
O 0.6667 0.3333 0.8396
O 0.6962 0.8481 0.5023
O 0.8271 0.1729 0.6748
O 0.8271 0.6543 0.6748
O 0.8279 0.1721 0.3283
O 0.8279 0.6557 0.3283
O 0.8481 0.1519 0.0023
O 0.8481 0.6962 0.0023
CELL_PARAMETERS angstrom
5.9274 0.0000 0.0000
-2.9637 5.1332 0.0000
0.0000 0.0000 13.3876
```


Entry 2:
## Zn2Co9O13 (PBE with a Hubbard U)

Data for Zn2Co9O13 after structural relaxation. Values from VASP.

Energy ... -5.6955 eV per atom
Symmetry ... C2/m

The structure in Quantum ESPRESSO input format:
```
&SYSTEM
  ibrav = 0, nat = 24, ntyp = 3
/
ATOMIC_SPECIES
Zn 65.41 Zn.upf
Co 58.93 Co.upf
O 16.00 O.upf
ATOMIC_POSITIONS crystal
Zn 0.2068 0.2068 0.2325
Zn 0.7932 0.7932 0.7675
Co 0.0079 0.0079 0.6704
Co 0.0725 0.0725 0.8722
Co 0.2488 0.2488 0.5828
Co 0.3582 0.3582 0.9594
Co 0.5000 0.5000 0.5000
Co 0.6418 0.6418 0.0406
Co 0.7512 0.7512 0.4172
Co 0.9275 0.9275 0.1278
Co 0.9921 0.9921 0.3296
O 0.0000 0.0000 0.0000
O 0.1223 0.1223 0.4649
O 0.1437 0.1437 0.7770
O 0.2985 0.2985 0.0705
O 0.3683 0.3683 0.6917
O 0.3902 0.3902 0.3906
O 0.4294 0.4294 0.8560
O 0.5706 0.5706 0.1440
O 0.6098 0.6098 0.6094
O 0.6317 0.6317 0.3083
O 0.7015 0.7015 0.9295
O 0.8563 0.8563 0.2230
O 0.8777 0.8777 0.5351
CELL_PARAMETERS angstrom
4.9600 -1.4637 0.0000
4.9600 1.4637 0.0000
-2.5372 0.0000 16.5809
```


Entry 3:
## Li2MnNb3O8 (PBE with a Hubbard U)

Data for Li2MnNb3O8 after structural relaxation. Values from VASP.

Energy ... -8.0393 eV per atom
Symmetry ... P6_3mc
Polymorph energy (0 for the lowest one) ... 0.0000 eV/atom

The structure in Quantum ESPRESSO input format:
```
&SYSTEM
  ibrav = 0, nat = 28, ntyp = 4
/
ATOMIC_SPECIES
Li 6.94 Li.upf
Mn 54.94 Mn.upf
Nb 92.91 Nb.upf
O 16.00 O.upf
ATOMIC_POSITIONS crystal
Li 0.0000 0.0000 0.0000
Li 0.0000 0.0000 0.5000
Li 0.3333 0.6667 0.3951
Li 0.6667 0.3333 0.8951
Mn 0.3333 0.6667 0.0059
Mn 0.6667 0.3333 0.5059
Nb 0.1768 0.3536 0.7188
Nb 0.1768 0.8232 0.7188
Nb 0.3536 0.1768 0.2188
Nb 0.6464 0.8232 0.7188
Nb 0.8232 0.1768 0.2188
Nb 0.8232 0.6464 0.2188
O 0.0000 0.0000 0.3188
O 0.0000 0.0000 0.8188
O 0.0256 0.5128 0.8406
O 0.1565 0.3130 0.1109
O 0.1565 0.8435 0.1109
O 0.3130 0.1565 0.6109
O 0.3333 0.6667 0.5893
O 0.4872 0.5128 0.8406
O 0.4872 0.9744 0.8406
O 0.5128 0.0256 0.3406
O 0.5128 0.4872 0.3406
O 0.6667 0.3333 0.0893
O 0.6870 0.8435 0.1109
O 0.8435 0.1565 0.6109
O 0.8435 0.6870 0.6109
O 0.9744 0.4872 0.3406
CELL_PARAMETERS angstrom
6.1345 0.0000 0.0000
-3.0672 5.3126 0.0000
0.0000 0.0000 10.2616
```


Entry 4:
## LiCrSi2O6 (PBE with a Hubbard U)

Data for LiCrSi2O6 after structural relaxation. Values from VASP.

Energy ... -7.5229 eV per atom
Symmetry ... P2_1/c
Polymorph energy (0 for the lowest one) ... 0.0000 eV/atom

The structure in Quantum ESPRESSO input format:
```
&SYSTEM
  ibrav = 0, nat = 40, ntyp = 4
/
ATOMIC_SPECIES
Li 6.94 Li.upf
Cr 52.00 Cr.upf
Si 28.09 Si.upf
O 16.00 O.upf
ATOMIC_POSITIONS crystal
Li 0.2479 0.0082 0.0103
Li 0.2479 0.4918 0.5103
Li 0.7521 0.5082 0.4897
Li 0.7521 0.9918 0.9897
Cr 0.2503 0.6563 0.0136
Cr 0.2503 0.8437 0.5136
Cr 0.7497 0.1563 0.4864
Cr 0.7497 0.3437 0.9864
Si 0.0494 0.1599 0.2759
Si 0.0494 0.3401 0.7759
Si 0.4506 0.1596 0.7038
Si 0.4506 0.3404 0.2038
Si 0.5494 0.6596 0.7962
Si 0.5494 0.8404 0.2962
Si 0.9506 0.6599 0.2241
Si 0.9506 0.8401 0.7241
O 0.1084 0.2325 0.0301
O 0.1084 0.2675 0.5301
O 0.1177 0.5096 0.8049
O 0.1177 0.9904 0.3049
O 0.1333 0.6664 0.2947
O 0.1333 0.8336 0.7947
O 0.3662 0.6644 0.7297
O 0.3662 0.8356 0.2297
O 0.3768 0.5052 0.2287
O 0.3768 0.9948 0.7287
O 0.3953 0.2277 0.4122
O 0.3953 0.2723 0.9122
O 0.6047 0.7277 0.0878
O 0.6047 0.7723 0.5878
O 0.6232 0.0052 0.2713
O 0.6232 0.4948 0.7713
O 0.6338 0.1644 0.7703
O 0.6338 0.3356 0.2703
O 0.8667 0.1664 0.2053
O 0.8667 0.3336 0.7053
O 0.8823 0.0096 0.6951
O 0.8823 0.4904 0.1951
O 0.8916 0.7325 0.4699
O 0.8916 0.7675 0.9699
CELL_PARAMETERS angstrom
9.3126 0.0000 0.0000
0.0000 8.7381 0.0000
-1.1265 0.0000 5.2121
```


Entry 5:
## MgMn3Cu2O8 (PBE with a Hubbard U)

Data for MgMn3Cu2O8 after structural relaxation. Values from VASP.

Energy ... -6.4739 eV per atom
Symmetry ... C2/m
Polymorph energy (0 for the lowest one) ... 0.0944 eV/atom

The structure in Quantum ESPRESSO input format:
```
&SYSTEM
  ibrav = 0, nat = 14, ntyp = 4
/
ATOMIC_SPECIES
Mg 24.30 Mg.upf
Mn 54.94 Mn.upf
Cu 63.55 Cu.upf
O 16.00 O.upf
ATOMIC_POSITIONS crystal
Mg 0.0000 0.0000 0.0000
Mn 0.2470 0.7530 0.5000
Mn 0.5000 0.5000 0.0000
Mn 0.7530 0.2470 0.5000
Cu 0.2499 0.2499 0.5037
Cu 0.7501 0.7501 0.4963
O 0.0954 0.0954 0.7404
O 0.1303 0.6379 0.6978
O 0.3621 0.8697 0.3022
O 0.4061 0.4061 0.2576
O 0.5939 0.5939 0.7424
O 0.6379 0.1303 0.6978
O 0.8697 0.3621 0.3022
O 0.9046 0.9046 0.2596
CELL_PARAMETERS angstrom
5.5732 -2.9339 0.0000
5.5732 2.9339 0.0000
-2.2353 0.0000 4.8109
```


Entry 6:
## LiMnF4 (PBE with a Hubbard U)

Data for LiMnF4 after structural relaxation. Values from VASP.

Energy ... -5.2718 eV per atom
Symmetry ... Pbcn

The structure in Quantum ESPRESSO input format:
```
&SYSTEM
  ibrav = 0, nat = 24, ntyp = 3
/
ATOMIC_SPECIES
Li 6.94 Li.upf
Mn 54.94 Mn.upf
F 19.00 F.upf
ATOMIC_POSITIONS crystal
Li 0.0000 0.0000 0.0000
Li 0.0000 0.0000 0.5000
Li 0.5000 0.5000 0.0000
Li 0.5000 0.5000 0.5000
Mn 0.0000 0.3170 0.2500
Mn 0.0000 0.6830 0.7500
Mn 0.5000 0.1830 0.7500
Mn 0.5000 0.8170 0.2500
F 0.1967 0.3026 0.0926
F 0.1967 0.6974 0.5926
F 0.2350 0.0536 0.3295
F 0.2350 0.9464 0.8295
F 0.2650 0.4464 0.8295
F 0.2650 0.5536 0.3295
F 0.3033 0.1974 0.5926
F 0.3033 0.8026 0.0926
F 0.6967 0.1974 0.9074
F 0.6967 0.8026 0.4074
F 0.7350 0.4464 0.6705
F 0.7350 0.5536 0.1705
F 0.7650 0.0536 0.1705
F 0.7650 0.9464 0.6705
F 0.8033 0.3026 0.4074
F 0.8033 0.6974 0.9074
CELL_PARAMETERS angstrom
4.7500 0.0000 0.0000
0.0000 5.7459 0.0000
0.0000 0.0000 10.0952
```


Look up the energy of the third one. -8.0393 eV per atom


Among the records above, which one has the highest energy? LiMnF4


Copy entry 6 word for word.
## LiMnF4 (PBE with a Hubbard U)

Data for LiMnF4 after structural relaxation. Values from VASP.

Energy ... -5.2718 eV per atom
Symmetry ... Pbcn

The structure in Quantum ESPRESSO input format:
```
&SYSTEM
  ibrav = 0, nat = 24, ntyp = 3
/
ATOMIC_SPECIES
Li 6.94 Li.upf
Mn 54.94 Mn.upf
F 19.00 F.upf
ATOMIC_POSITIONS crystal
Li 0.0000 0.0000 0.0000
Li 0.0000 0.0000 0.5000
Li 0.5000 0.5000 0.0000
Li 0.5000 0.5000 0.5000
Mn 0.0000 0.3170 0.2500
Mn 0.0000 0.6830 0.7500
Mn 0.5000 0.1830 0.7500
Mn 0.5000 0.8170 0.2500
F 0.1967 0.3026 0.0926
F 0.1967 0.6974 0.5926
F 0.2350 0.0536 0.3295
F 0.2350 0.9464 0.8295
F 0.2650 0.4464 0.8295
F 0.2650 0.5536 0.3295
F 0.3033 0.1974 0.5926
F 0.3033 0.8026 0.0926
F 0.6967 0.1974 0.9074
F 0.6967 0.8026 0.4074
F 0.7350 0.4464 0.6705
F 0.7350 0.5536 0.1705
F 0.7650 0.0536 0.1705
F 0.7650 0.9464 0.6705
F 0.8033 0.3026 0.4074
F 0.8033 0.6974 0.9074
CELL_PARAMETERS angstrom
4.7500 0.0000 0.0000
0.0000 5.7459 0.0000
0.0000 0.0000 10.0952
```